1:
Compound: Li4Mn3CoO8
Source: the Materials Project
Functional: PBE+U
Structure: optimized geometry

Calculated values
Total magnetic moment in μB/cell: 14.00

Structure (extended XYZ):
```
16
Lattice="-0.0988 -2.7737 -1.1208 1.9260 0.6598 2.1942 -12.1943 -5.3681 14.3594" Properties=species:S:1:pos:R:3 pbc="T T T"
O -0.7645 -3.0552 3.6313
O -9.6026 -4.4268 11.8015
Co 0.0000 0.0000 0.0000
O -5.6692 -4.8366 8.4722
Mn -6.1465 -4.0709 6.6193
O -6.8261 -4.3574 11.3851
O -4.6978 -2.6453 6.9606
Li -7.1592 -3.5393 9.3899
Li -9.3464 -5.2728 13.8727
Li -3.2079 -3.9427 6.0429
O 0.5028 -0.7565 1.8278
O -10.8698 -6.7255 13.6051
O -3.5410 -3.1246 4.0477
Mn -2.0919 -1.6989 4.3887
Li -1.0206 -2.2092 1.5602
Mn -8.2751 -5.7831 11.0442
```


2:
Compound: Li4Mn3CoO8
Source: the Materials Project
Functional: PBE+U
Structure: optimized geometry

Calculated values
Total magnetic moment in μB/cell: 12.00

Structure (extended XYZ):
```
16
Lattice="0.8144 -5.5785 -8.1334 2.5776 -7.2394 -6.2355 -4.0005 -2.7751 1.2881" Properties=species:S:1:pos:R:3 pbc="T T T"
O -3.1363 -5.0906 -1.5412
Co 0.0000 0.0000 0.0000
Mn -0.3043 -7.7965 -6.5404
O -1.3459 -9.3710 -6.9505
Mn -0.1514 -3.8948 -3.2678
O 0.7374 -6.2221 -6.1303
Li 1.4695 -12.2533 -12.0886
O 0.5553 -10.1141 -9.3672
O -1.0124 -1.5748 -0.4376
Mn -0.4571 -11.6983 -9.8130
O 2.5277 -10.5025 -11.5396
Li -2.0781 -3.3398 -0.9922
Li 1.6092 -8.3482 -8.8009
O 0.4039 -14.0183 -12.6432
Li -2.2177 -7.2449 -4.2799
O -1.1639 -5.4790 -3.7136
```


3:
Compound: Li4Mn3CoO8
Source: the Materials Project
Functional: PBE+U
Structure: optimized geometry

Calculated values
Total magnetic moment in μB/cell: 23.99

Structure (extended XYZ):
```
32
Lattice="2.5528 0.0102 -1.3075 0.8540 19.5136 -1.6142 2.5109 0.0702 4.8241" Properties=species:S:1:pos:R:3 pbc="T T T"
O 2.4619 3.7469 1.5353
Mn 2.9449 9.8123 2.4828
Li 1.1575 12.2173 -0.9617
O 1.3833 8.6296 -0.5381
O 3.1034 6.0078 -0.3206
O 0.9266 15.8061 -1.3752
Li 3.2999 2.4712 3.1498
O 2.0063 10.9250 0.6813
Li 3.6888 12.2570 0.7981
Mn 1.8723 14.6878 0.4191
Li 2.6169 17.1232 -1.2455
O 3.0813 6.0494 2.7464
Li 3.3402 2.4068 0.0773
O 2.8368 13.5438 -0.8445
Li 2.2286 7.3370 1.1046
O 1.7379 1.1208 -0.0009
Mn 4.4027 14.7376 2.1797
O 2.8153 13.5853 2.2218
Mn 2.9721 9.7822 -0.5826
O 4.1521 1.0960 1.7936
O 3.4563 15.8463 0.3668
Mn 1.5165 4.8563 -0.2791
Co 2.5315 0.0406 1.7594
O 3.9109 8.6692 1.2192
O 4.1792 18.4741 1.9055
O 4.5338 10.9646 2.4385
Li 4.7601 7.3768 2.8644
Li 2.5769 17.1880 1.8271
O 1.7649 18.4989 0.1110
Co 2.5524 0.0108 -1.3063
O 4.9921 3.7871 3.2765
Mn 4.0462 4.9055 1.4825
```


4:
Compound: Li4Mn3CoO8
Source: the Materials Project
Functional: PBE+U
Structure: optimized geometry

Calculated values
Total magnetic moment in μB/cell: 14.00

Structure (extended XYZ):
```
16
Lattice="2.5500 -0.0034 -1.3222 0.8241 19.5768 -1.4853 -0.0379 0.0508 3.0663" Properties=species:S:1:pos:R:3 pbc="T T T"
O 2.4028 3.7945 1.5458
Li 0.7226 2.4359 1.4117
Mn 2.9411 9.8108 -0.5328
O 0.9342 15.8296 -1.2868
O 1.6546 1.1269 0.1056
O 1.3536 8.6641 -0.4790
Li 2.1899 7.3662 1.1369
Mn 1.4787 4.8862 -0.2521
O 2.8236 13.5807 -0.7518
O 1.9796 10.9601 0.7379
Co 0.0004 0.0001 0.0001
Li 2.6146 17.1882 -1.1528
O 0.5134 6.0430 1.0108
O 1.6825 18.4973 0.1533
Li 1.1469 12.2580 -0.8782
Mn 1.8581 14.7377 0.5108
```


Q: Which of them is the least stable? A: 1.